1.
DFT (GGA-PBE) results for a relaxed TbCl3 crystal.

Cell lengths 6.8872, 6.8872, 8.5788 Å; angles 90.00, 90.00, 147.77 degrees
Sites, in units of the cell vectors:
Cl: 0.1583 0.8417 0.5684
Cl: 0.1583 0.8417 0.9316
Tb: 0.7594 0.2406 0.7500
Cl: 0.8417 0.1583 0.0684
Cl: 0.8417 0.1583 0.4316
Cl: 0.5996 0.4004 0.2500
Tb: 0.2406 0.7594 0.2500
Cl: 0.4004 0.5996 0.7500

Results
Formation energy: -2.720 eV per atom
SG: Cmcm
Raw total energy: -0.177 hartree per atom

---

2.
DFT (GGA-PBE) results for a relaxed Dy2Si2O7 crystal.

Cell lengths 6.6454, 6.6897, 18.2032 Å; angles 83.80, 88.42, 88.23 degrees
Sites, in units of the cell vectors:
O: 0.5131 0.3089 0.7194
O: 0.4723 0.0004 0.3862
O: 0.1316 0.7508 0.8074
Si: 0.9956 0.9577 0.7868
O: 0.2092 0.4003 0.6158
O: 0.2193 0.0805 0.9905
O: 0.1364 0.3799 0.4703
Si: 0.6623 0.4900 0.7402
O: 0.8566 0.4139 0.7889
O: 0.0887 0.9895 0.1267
O: 0.1740 0.9884 0.5315
O: 0.5062 0.3725 0.2152
O: 0.4842 0.6921 0.2784
O: 0.5652 0.0081 0.1276
Dy: 0.4480 0.9644 0.7384
O: 0.8076 0.9596 0.4654
Si: 0.3390 0.5110 0.2571
O: 0.4340 0.9916 0.8721
O: 0.1410 0.5849 0.2108
Dy: 0.4086 0.6103 0.4144
Dy: 0.8141 0.5319 0.2645
O: 0.5259 0.0037 0.6109
Dy: 0.8830 0.9004 0.6076
O: 0.8680 0.2503 0.1939
O: 0.8071 0.9402 0.7332
O: 0.8667 0.2392 0.5845
O: 0.9136 0.6225 0.5317
Si: 0.0421 0.3933 0.5528
O: 0.2735 0.3482 0.0874
O: 0.0816 0.6894 0.9641
O: 0.1174 0.7848 0.4050
O: 0.7537 0.6318 0.3897
Dy: 0.5544 0.3761 0.5879
O: 0.7806 0.9193 0.0096
Si: 0.1239 0.1840 0.0627
O: 0.7310 0.5996 0.6598
O: 0.7896 0.2223 0.3468
O: 0.5462 0.3049 0.9500
Si: 0.3647 0.1759 0.9192
O: 0.9186 0.3108 0.0359
Dy: 0.6166 0.3475 0.0968
O: 0.4969 0.6276 0.7841
Dy: 0.3846 0.6527 0.9032
O: 0.2207 0.3568 0.8756
Si: 0.6354 0.8234 0.0809
O: 0.1993 0.0634 0.2648
O: 0.7268 0.6520 0.9125
Dy: 0.1211 0.6531 0.0898
O: 0.5592 0.2977 0.4688
Si: 0.8762 0.8157 0.9377
Dy: 0.8781 0.3475 0.9103
Si: 0.3483 0.8634 0.5793
Si: 0.6522 0.1299 0.4186
O: 0.9092 0.0108 0.8735
O: 0.4542 0.6946 0.0500
Si: 0.0060 0.0441 0.2145
Dy: 0.5459 0.0305 0.2589
O: 0.2250 0.7828 0.6583
O: 0.1505 0.1288 0.7525
O: 0.2734 0.4005 0.3375
Dy: 0.1460 0.1234 0.4018
Si: 0.9014 0.7289 0.4435
O: 0.8505 0.8712 0.2478
Dy: 0.1843 0.4706 0.7379
O: 0.4550 0.6877 0.5328
O: 0.7792 0.6433 0.1248

Results
Formation energy: -3.662 eV per atom
SG: P1
Raw total energy: -0.301 hartree per atom